DFT (GGA-PBE) results for crystalline La5Ti5O17 at its relaxed geometry.

Lattice parameters (Å, degrees): 3.968 5.546 31.763 90.00 90.00 90.00
Atoms (fractional coordinates):
O: 0.000 0.446 0.494
O: 0.500 0.975 0.070
O: 0.500 0.462 0.257
Ti: 0.500 0.751 0.296
O: 0.000 0.037 0.739
La: 0.000 0.271 0.298
O: 0.000 0.563 0.929
O: 0.500 0.060 0.326
O: 0.000 0.752 0.123
O: 0.500 0.554 0.994
La: 0.000 0.827 0.990
O: 0.000 0.259 0.376
Ti: 0.000 0.711 0.529
O: 0.000 0.943 0.654
O: 0.500 0.437 0.429
O: 0.500 0.963 0.239
O: 0.000 0.934 0.482
O: 0.000 0.025 0.570
La: 0.000 0.239 0.112
Ti: 0.500 0.216 0.382
O: 0.500 0.741 0.876
O: 0.000 0.260 0.205
La: 0.000 0.756 0.205
La: 0.000 0.674 0.420
Ti: 0.500 0.760 0.115
O: 0.000 0.250 0.034
O: 0.000 0.462 0.840
O: 0.000 0.442 0.672
O: 0.500 0.454 0.085
O: 0.000 0.538 0.757
O: 0.500 0.740 0.705
Ti: 0.500 0.257 0.205
O: 0.500 0.057 0.154
O: 0.500 0.236 0.788
O: 0.500 0.750 0.534
La: 0.500 0.761 0.612
O: 0.500 0.248 0.623
O: 0.000 0.546 0.585
O: 0.500 0.558 0.172
Ti: 0.000 0.240 0.615
O: 0.500 0.066 0.982
La: 0.500 0.326 0.920
Ti: 0.000 0.249 0.796
O: 0.500 0.952 0.417
O: 0.000 0.940 0.826
O: 0.000 0.764 0.288
Ti: 0.500 0.289 0.029
La: 0.500 0.729 0.798
O: 0.000 0.048 0.917
O: 0.500 0.538 0.340
Ti: 0.000 0.743 0.705
Ti: 0.000 0.784 0.882
La: 0.500 0.173 0.490
La: 0.500 0.244 0.705

Values from the calculation:
distance to the lowest polymorph of the same formula = 6 meV per atom